Entry 1:
## Ce5C2Cl9 (GGA-PBE)

Data for a relaxed Ce5C2Cl9 crystal.

a b c (Å): 8.6860 8.8016 11.9075
angles (deg): 95.42 96.22 60.90
Last column: nearest neighbours and their distance in Å.
Positions (direct):
Ce: 0.7938 0.3292 0.4874  1 C 2.38
Ce: 0.8720 0.7354 0.2668  2 C 2.40-2.46
Ce: 0.1280 0.2646 0.7332  2 C 2.40-2.46
Ce: 0.7663 0.0943 0.7325  2 C 2.43-2.47
Ce: 0.2062 0.6708 0.5126  1 C 2.38
Ce: 0.2337 0.9057 0.2675  2 C 2.43-2.47
Ce: 0.6222 0.5979 0.7827  2 C 2.41-2.47
Ce: 0.3778 0.4021 0.2173  2 C 2.41-2.47
Ce: 0.8969 0.2952 0.0099  1 C 2.34
Ce: 0.1031 0.7048 0.9901  1 C 2.34
Cl: 0.4958 0.9880 0.7548  3 Ce 2.93-3.09
Cl: 0.7869 0.0396 0.9658  3 Ce 2.83-2.90
Cl: 0.9285 0.6523 0.7694  3 Ce 2.95-3.00
Cl: 0.8484 0.1165 0.2533  3 Ce 2.93-3.28
Cl: 0.1641 0.0592 0.4983  3 Ce 2.92-3.14
Cl: 0.6060 0.5738 0.2777  4 Ce 3.02-3.27, 1 Cl 3.32
Cl: 0.2102 0.3336 0.9720  4 Ce 2.92-3.26
Cl: 0.5042 0.0120 0.2452  3 Ce 2.93-3.09
Cl: 0.3940 0.4262 0.7223  4 Ce 3.02-3.27, 1 Cl 3.32
Cl: 0.0715 0.3477 0.2306  3 Ce 2.95-3.00
Cl: 0.7898 0.6664 0.0280  4 Ce 2.92-3.26
Cl: 0.5000 0.5000 0.0000  4 Ce 3.01-3.24
Cl: 0.5347 0.6747 0.5499  3 Ce 2.85-2.86
Cl: 0.1516 0.8835 0.7467  3 Ce 2.93-3.28
Cl: 0.2131 0.9604 0.0342  3 Ce 2.83-2.90
Cl: 0.4653 0.3253 0.4501  3 Ce 2.85-2.86
Cl: 0.0000 0.5000 0.5000  2 Ce 2.83
Cl: 0.8359 0.9408 0.5017  3 Ce 2.92-3.14
C: 0.8295 0.3210 0.6882  1 C 1.49
C: 0.8597 0.3079 0.8131  1 C 1.49
C: 0.1705 0.6790 0.3118  1 C 1.49
C: 0.1403 0.6921 0.1869  1 C 1.49

Summary:
E = -185.8 eV for the cell shown
space group = P-1, No. 2

Entry 2:
## Ce2CN3Cl (GGA-PBE)

Data for a relaxed Ce2CN3Cl crystal.

a b c (Å): 8.1388 8.1388 3.9050
angles (deg): 90.00 90.00 109.10
Last column: nearest neighbours and their distance in Å.
Positions (direct):
Cl: 0.6225 0.3775 0.0000  5 Ce 3.22-3.24, 1 Cl 3.25, 4 C 3.50
Cl: 0.3775 0.6225 0.0000  5 Ce 3.22-3.24, 1 Cl 3.25, 4 C 3.50
N: 0.6532 0.0052 0.5000  1 C 1.23
N: 0.1565 0.1565 0.0000  4 Ce 2.31-2.32
N: 0.9948 0.3468 0.5000  1 C 1.23
N: 0.8435 0.8435 0.0000  4 Ce 2.31-2.32
N: 0.0052 0.6532 0.5000  1 C 1.23
N: 0.3468 0.9948 0.5000  1 C 1.23
Ce: 0.2873 0.2873 0.5000  4 N 2.31-2.58
Ce: 0.1348 0.8652 0.0000  6 N 2.32-2.59
Ce: 0.7127 0.7127 0.5000  4 N 2.31-2.58
Ce: 0.8652 0.1348 0.0000  6 N 2.32-2.59
C: 0.0000 0.5000 0.5000  2 N 1.23
C: 0.5000 0.0000 0.5000  2 N 1.23

Summary:
E = -114.0 eV for the cell shown
space group = Cmmm, No. 65

Entry 3:
## CeCr2Si2C (GGA-PBE)

Data for a relaxed CeCr2Si2C crystal.

a b c (Å): 3.9856 3.9856 5.2617
angles (deg): 90.00 90.00 90.00
Last column: nearest neighbours and their distance in Å.
Positions (direct):
Ce: 0.0000 0.0000 0.0000  2 C 2.63
Cr: 0.5000 0.0000 0.5000  2 C 1.99
Cr: 0.0000 0.5000 0.5000  2 C 1.99
C: 0.0000 0.0000 0.5000  4 Cr 1.99
Si: 0.5000 0.5000 0.2286  1 Si 2.41, 4 Cr 2.45
Si: 0.5000 0.5000 0.7714  1 Si 2.41, 4 Cr 2.45

Summary:
E = -48.3 eV for the cell shown
space group = P4/mmm, No. 123

Which of these has the highest E? CeCr2Si2C

E of number 3 (CeCr2Si2C)? -48.3 eV for the cell shown

The lowest E belongs to which entry? Ce5C2Cl9